## TiCrAgS4 (GGA-PBE)

Data for crystalline TiCrAgS4 at its relaxed geometry.

Geometry as CIF:
```
data_TiCrAgS4
_chemical_formula_sum 'Ti4 Cr4 Ag4 S16'
_symmetry_space_group_name_H-M 'C 1 2 1'
_symmetry_Int_Tables_number 5
_symmetry_space_group_name_Hall 'C 2y'
_cell_length_a 12.580
_cell_length_b 7.263
_cell_length_c 7.366
_cell_angle_alpha 90.00
_cell_angle_beta 125.72
_cell_angle_gamma 90.00
loop_
_atom_site_label
_atom_site_fract_x
_atom_site_fract_y
_atom_site_fract_z
_atom_site_occupancy
Ti1 0.243 0.000 0.487 1
Cr1 0.000 0.218 0.000 1
Cr2 0.000 0.219 0.500 1
Ag1 0.121 0.710 0.873 1
S1 0.009 0.998 0.259 1
S2 0.016 0.434 0.266 1
S3 0.238 0.228 0.714 1
S4 0.238 0.231 0.258 1
```

Output
VASP energy = -6.09 eV per atom
Formation energy from the elements = -1.106 eV per atom
Energy above the most stable polymorph in this dataset = 1 meV/atom